Material: Ce3Ge
Method: DFT, PBE
State: optimized geometry

For the formation energy, the calculation gives -353 meV per atom. As for the crystal system: tetragonal. The volume is 106.3 Å³/f.u. As for the total energy: -5.96 eV/atom.

It has space group P4_2/n (No. 86, origin choice 2), with a = 11.9677 Å, b = 11.9677 Å, c = 5.9356 Å, α = 90.00°, β = 90.00° and γ = 90.00°. The asymmetric unit holds Ce at (0.0320, 0.5761, 0.2332), Ce at (0.1106, 0.2183, 0.4803), Ce at (0.1376, 0.6693, 0.7753) and Ge at (0.0463, 0.2003, 0.9723).